Entry from the Materials Project database: crystalline Mg14TiSnO16 at its relaxed geometry (PBE).

a b c (Å): 4.356 8.721 8.757
angles (deg): 90.00 90.00 90.00
Fractional coordinates of all 32 atoms:
1 Mg 0.000 0.000 0.000
2 Mg 0.000 0.000 0.500
3 Mg 0.000 0.244 0.246
4 Mg 0.000 0.244 0.754
5 Mg 0.000 0.756 0.246
6 Mg 0.000 0.756 0.754
7 Mg 0.500 0.000 0.249
8 Mg 0.500 0.000 0.751
9 Mg 0.500 0.240 0.500
10 Mg 0.500 0.246 0.000
11 Mg 0.500 0.500 0.244
12 Mg 0.500 0.500 0.756
13 Mg 0.500 0.754 0.000
14 Mg 0.500 0.760 0.500
15 Ti 0.000 0.500 0.000
16 Sn 0.000 0.500 0.500
17 O 0.000 0.000 0.246
18 O 0.000 0.000 0.754
19 O 0.000 0.227 0.500
20 O 0.000 0.242 0.000
21 O 0.000 0.500 0.234
22 O 0.000 0.500 0.766
23 O 0.000 0.758 0.000
24 O 0.000 0.773 0.500
25 O 0.500 0.000 0.000
26 O 0.500 0.000 0.500
27 O 0.500 0.251 0.250
28 O 0.500 0.251 0.750
29 O 0.500 0.500 0.000
30 O 0.500 0.500 0.500
31 O 0.500 0.749 0.250
32 O 0.500 0.749 0.750

Relative energy among the computed polymorphs ... 4 meV/atom
Volume ... 10.40 Å³ per atom
Raw total energy ... -5.994 eV per atom
Magnetic moment ... 1.88 μB per formula unit
Crystal system ... orthorhombic
Formation energy ... -2791 meV/atom